The following is a DFT calculation (PBE+U) of a relaxed Mn3Cu2NiO8 crystal.

Unit cell a=5.948 b=5.948 c=5.948 alpha=59.98 beta=59.98 gamma=59.98
Atoms (fractional coordinates):
Mn1 0.000 0.500 0.500
Mn2 0.500 0.500 0.000
Mn3 0.500 0.000 0.500
Cu1 0.123 0.123 0.123
Cu2 0.877 0.877 0.877
Ni1 0.500 0.500 0.500
O1 0.258 0.258 0.258
O2 0.713 0.254 0.254
O3 0.254 0.254 0.713
O4 0.254 0.713 0.254
O5 0.742 0.742 0.742
O6 0.287 0.746 0.746
O7 0.746 0.746 0.287
O8 0.746 0.287 0.746

energy relative to the elements: -1.55 eV per atom
calculated density: 5.34 g/cm3
space group: No. 166
E (MP2020): -102.811 eV per formula unit
DFT total energy: -89.77 eV for the cell shown